# 1
This record from the Materials Project database describes crystalline SnHgP14 at its relaxed geometry. The functional is meta-GGA r2SCAN.

Unit cell a=13.187 b=9.836 c=11.016 alpha=90.00 beta=90.00 gamma=90.00
Positions (direct):
Sn1 0.169 0.250 0.100
Sn2 0.331 0.750 0.600
Sn3 0.669 0.250 0.400
Sn4 0.831 0.750 0.900
Hg1 0.185 0.750 0.002
Hg2 0.315 0.250 0.502
Hg3 0.685 0.750 0.498
Hg4 0.815 0.250 0.998
P1 0.025 0.076 0.848
P2 0.025 0.424 0.848
P3 0.027 0.750 0.839
P4 0.049 0.250 0.724
P5 0.060 0.583 0.713
P6 0.060 0.917 0.713
P7 0.079 0.078 0.410
P8 0.079 0.422 0.410
P9 0.089 0.750 0.393
P10 0.138 0.546 0.136
P11 0.138 0.954 0.136
P12 0.171 0.250 0.346
P13 0.179 0.577 0.326
P14 0.179 0.923 0.326
P15 0.321 0.077 0.826
P16 0.321 0.423 0.826
P17 0.329 0.750 0.846
P18 0.362 0.046 0.636
P19 0.362 0.454 0.636
P20 0.411 0.250 0.893
P21 0.421 0.578 0.910
P22 0.421 0.922 0.910
P23 0.440 0.083 0.213
P24 0.440 0.417 0.213
P25 0.451 0.750 0.224
P26 0.473 0.250 0.339
P27 0.475 0.576 0.348
P28 0.475 0.924 0.348
P29 0.525 0.076 0.652
P30 0.525 0.424 0.652
P31 0.527 0.750 0.661
P32 0.549 0.250 0.776
P33 0.560 0.583 0.787
P34 0.560 0.917 0.787
P35 0.579 0.078 0.090
P36 0.579 0.422 0.090
P37 0.589 0.750 0.107
P38 0.638 0.546 0.364
P39 0.638 0.954 0.364
P40 0.671 0.250 0.154
P41 0.679 0.577 0.174
P42 0.679 0.923 0.174
P43 0.821 0.077 0.674
P44 0.821 0.423 0.674
P45 0.829 0.750 0.654
P46 0.862 0.046 0.864
P47 0.862 0.454 0.864
P48 0.911 0.250 0.607
P49 0.921 0.578 0.590
P50 0.921 0.922 0.590
P51 0.940 0.083 0.287
P52 0.940 0.417 0.287
P53 0.951 0.750 0.276
P54 0.973 0.250 0.161
P55 0.975 0.576 0.152
P56 0.975 0.924 0.152

Summary:
Its crystal system is orthorhombic. The space group is Pnma.

=====

# 2
This record from the Materials Project database describes crystalline PrZnIn at its relaxed geometry. The functional is meta-GGA r2SCAN.

Unit cell a=4.711 b=4.711 c=7.798 alpha=90.00 beta=90.00 gamma=120.00
Positions (direct):
Pr1 0.000 0.000 0.000
Pr2 0.000 0.000 0.500
Zn1 0.333 0.667 0.250
Zn2 0.667 0.333 0.750
In1 0.333 0.667 0.750
In2 0.667 0.333 0.250

Summary:
Its crystal system is hexagonal. The space group is P6_3/mmc.

=====

# 3
This record from the Materials Project database describes crystalline Y2Ge5Rh3 at its relaxed geometry. The functional is meta-GGA r2SCAN.

Unit cell a=8.316 b=8.316 c=5.960 alpha=110.92 beta=110.92 gamma=90.75
Positions (direct):
Y1 0.095 0.363 0.229
Y2 0.363 0.095 0.729
Y3 0.637 0.905 0.271
Y4 0.905 0.637 0.771
Ge1 0.000 0.000 0.250
Ge2 0.000 0.000 0.750
Ge3 0.239 0.436 0.837
Ge4 0.279 0.721 0.250
Ge5 0.279 0.721 0.750
Ge6 0.436 0.239 0.337
Ge7 0.564 0.761 0.663
Ge8 0.721 0.279 0.250
Ge9 0.721 0.279 0.750
Ge10 0.761 0.564 0.163
Rh1 0.034 0.751 0.392
Rh2 0.249 0.966 0.108
Rh3 0.500 0.500 0.250
Rh4 0.500 0.500 0.750
Rh5 0.751 0.034 0.892
Rh6 0.966 0.249 0.608

Summary:
Its crystal system is monoclinic. The space group is C2/c.

=====

# 4
This record from the Materials Project database describes crystalline Ho2IrRu at its relaxed geometry. The functional is meta-GGA r2SCAN.

Unit cell a=6.748 b=6.748 c=6.748 alpha=90.00 beta=90.00 gamma=90.00
Positions (direct):
Ho1 0.250 0.250 0.250
Ho2 0.250 0.250 0.750
Ho3 0.250 0.750 0.250
Ho4 0.250 0.750 0.750
Ho5 0.750 0.250 0.250
Ho6 0.750 0.250 0.750
Ho7 0.750 0.750 0.250
Ho8 0.750 0.750 0.750
Ir1 0.000 0.000 0.000
Ir2 0.000 0.500 0.500
Ir3 0.500 0.000 0.500
Ir4 0.500 0.500 0.000
Ru1 0.000 0.000 0.500
Ru2 0.000 0.500 0.000
Ru3 0.500 0.000 0.000
Ru4 0.500 0.500 0.500

Summary:
Its crystal system is cubic. The space group is Fm-3m.

=====

# 5
This record from the Materials Project database describes crystalline NaTh2F9 at its relaxed geometry. The functional is meta-GGA r2SCAN.

Unit cell a=7.550 b=7.550 c=7.550 alpha=108.95 beta=108.95 gamma=110.51
Positions (direct):
Na1 0.000 0.500 0.500
Na2 0.500 0.000 0.500
Th1 0.009 0.009 0.628
Th2 0.380 0.380 0.372
Th3 0.620 0.991 0.000
Th4 0.991 0.620 0.000
F1 0.000 0.240 0.240
F2 0.000 0.760 0.760
F3 0.001 0.745 0.351
F4 0.225 0.225 0.000
F5 0.240 0.000 0.240
F6 0.243 0.243 0.577
F7 0.255 0.606 0.256
F8 0.334 0.757 0.000
F9 0.350 0.999 0.744
F10 0.394 0.650 0.649
F11 0.606 0.255 0.256
F12 0.650 0.394 0.649
F13 0.666 0.666 0.423
F14 0.745 0.001 0.351
F15 0.757 0.334 0.000
F16 0.760 0.000 0.760
F17 0.775 0.775 0.000
F18 0.999 0.350 0.744

Summary:
Its crystal system is tetragonal. The space group is I-42m.

=====

# 6
This record from the Materials Project database describes crystalline Tb5Mg at its relaxed geometry. The functional is meta-GGA r2SCAN.

Unit cell a=6.616 b=6.616 c=6.616 alpha=55.50 beta=55.50 gamma=55.50
Positions (direct):
Tb1 0.000 0.659 0.341
Tb2 0.168 0.168 0.168
Tb3 0.341 0.000 0.659
Tb4 0.659 0.341 0.000
Tb5 0.832 0.832 0.832
Mg1 0.500 0.500 0.500

Summary:
Its crystal system is trigonal. The space group is R32.

=====

# 7
This record from the Materials Project database describes crystalline Cs4FeO3 at its relaxed geometry. The functional is meta-GGA r2SCAN.

Unit cell a=7.537 b=12.010 c=10.247 alpha=107.90 beta=102.76 gamma=90.53
Positions (direct):
O1 0.761 0.583 0.796
O2 0.739 0.917 0.204
Cs1 0.006 0.210 0.010
O3 0.732 0.177 0.174
O4 0.894 0.909 0.670
Cs2 0.384 0.033 0.147
Cs3 0.924 0.136 0.622
Fe1 0.642 0.437 0.764
O5 0.239 0.417 0.204
Fe2 0.858 0.063 0.236
Cs4 0.494 0.290 0.990
Cs5 0.616 0.967 0.853
O6 0.767 0.323 0.826
Cs6 0.506 0.710 0.010
O7 0.106 0.091 0.330
O8 0.267 0.823 0.826
O9 0.394 0.409 0.670
Cs7 0.914 0.660 0.596
O10 0.261 0.083 0.796
Cs8 0.586 0.840 0.404
Cs9 0.994 0.790 0.990
Cs10 0.116 0.467 0.853
O11 0.606 0.591 0.330
Cs11 0.414 0.160 0.596
Fe3 0.142 0.937 0.764
Cs12 0.424 0.636 0.622
Cs13 0.076 0.864 0.378
Cs14 0.086 0.340 0.404
O12 0.233 0.677 0.174
Cs15 0.576 0.364 0.378
Fe4 0.358 0.563 0.236
Cs16 0.884 0.533 0.147

=====

# 8
This record from the Materials Project database describes crystalline K3ErCl6 at its relaxed geometry. The functional is meta-GGA r2SCAN.

Unit cell a=13.037 b=7.735 c=12.544 alpha=90.00 beta=110.16 gamma=90.00
Positions (direct):
K1 0.109 0.039 0.372
K2 0.109 0.461 0.872
K3 0.312 0.054 0.767
K4 0.312 0.446 0.267
K5 0.323 0.578 0.609
K6 0.323 0.922 0.109
K7 0.677 0.078 0.891
K8 0.677 0.422 0.391
K9 0.688 0.554 0.733
K10 0.688 0.946 0.233
K11 0.891 0.539 0.128
K12 0.891 0.961 0.628
Er1 0.000 0.000 0.000
Er2 0.000 0.500 0.500
Er3 0.500 0.000 0.500
Er4 0.500 0.500 0.000
Cl1 0.101 0.033 0.856
Cl2 0.101 0.467 0.356
Cl3 0.107 0.708 0.074
Cl4 0.107 0.792 0.574
Cl5 0.154 0.168 0.151
Cl6 0.154 0.332 0.651
Cl7 0.336 0.702 0.892
Cl8 0.336 0.798 0.392
Cl9 0.354 0.230 0.499
Cl10 0.354 0.270 0.999
Cl11 0.499 0.629 0.193
Cl12 0.499 0.871 0.693
Cl13 0.501 0.129 0.307
Cl14 0.501 0.371 0.807
Cl15 0.646 0.730 0.001
Cl16 0.646 0.770 0.501
Cl17 0.664 0.202 0.608
Cl18 0.664 0.298 0.108
Cl19 0.846 0.668 0.349
Cl20 0.846 0.832 0.849
Cl21 0.893 0.208 0.426
Cl22 0.893 0.292 0.926
Cl23 0.899 0.533 0.644
Cl24 0.899 0.967 0.144

Summary:
Its crystal system is monoclinic. The space group is P2_1/c.

=====

# 9
This record from the Materials Project database describes crystalline Pr3Cu3Sb4 at its relaxed geometry. The functional is meta-GGA r2SCAN.

Unit cell a=8.487 b=8.487 c=8.487 alpha=109.47 beta=109.47 gamma=109.47
Positions (direct):
Pr1 0.125 0.875 0.250
Pr2 0.250 0.125 0.875
Pr3 0.375 0.625 0.750
Pr4 0.625 0.750 0.375
Pr5 0.750 0.375 0.625
Pr6 0.875 0.250 0.125
Cu1 0.125 0.750 0.875
Cu2 0.250 0.625 0.375
Cu3 0.375 0.250 0.625
Cu4 0.625 0.375 0.250
Cu5 0.750 0.875 0.125
Cu6 0.875 0.125 0.750
Sb1 0.000 0.157 0.500
Sb2 0.000 0.657 0.500
Sb3 0.157 0.500 0.000
Sb4 0.343 0.343 0.343
Sb5 0.500 0.000 0.157
Sb6 0.500 0.000 0.657
Sb7 0.657 0.500 0.000
Sb8 0.843 0.843 0.843

Summary:
Its crystal system is cubic. The space group is I-43d.

=====

# 10
This record from the Materials Project database describes crystalline Pd3Pb2S2 at its relaxed geometry. The functional is meta-GGA r2SCAN.

Unit cell a=7.276 b=7.276 c=7.276 alpha=109.47 beta=109.47 gamma=109.47
Positions (direct):
Pd1 0.227 0.977 0.250
Pd2 0.250 0.227 0.977
Pd3 0.273 0.523 0.750
Pd4 0.523 0.750 0.273
Pd5 0.750 0.273 0.523
Pd6 0.977 0.250 0.227
Pb1 0.000 0.987 0.500
Pb2 0.500 0.000 0.987
Pb3 0.513 0.513 0.513
Pb4 0.987 0.500 0.000
S1 0.000 0.551 0.500
S2 0.500 0.000 0.551
S3 0.551 0.500 0.000
S4 0.949 0.949 0.949

Summary:
Its crystal system is cubic. The space group is I2_13.

=====

# 11
This record from the Materials Project database describes crystalline CaHo2S4 at its relaxed geometry. The functional is meta-GGA r2SCAN.

Unit cell a=12.919 b=3.877 c=13.083 alpha=90.00 beta=90.00 gamma=90.00
Positions (direct):
Ca1 0.131 0.250 0.083
Ca2 0.369 0.750 0.583
Ca3 0.631 0.250 0.417
Ca4 0.869 0.750 0.917
Ho1 0.107 0.750 0.416
Ho2 0.147 0.750 0.798
Ho3 0.353 0.250 0.298
Ho4 0.393 0.250 0.916
Ho5 0.607 0.750 0.084
Ho6 0.647 0.750 0.702
Ho7 0.853 0.250 0.202
Ho8 0.893 0.250 0.584
S1 0.030 0.250 0.882
S2 0.034 0.750 0.618
S3 0.217 0.750 0.237
S4 0.242 0.250 0.474
S5 0.258 0.750 0.974
S6 0.283 0.250 0.737
S7 0.466 0.250 0.118
S8 0.470 0.750 0.382
S9 0.530 0.250 0.618
S10 0.534 0.750 0.882
S11 0.717 0.750 0.263
S12 0.742 0.250 0.026
S13 0.758 0.750 0.526
S14 0.783 0.250 0.763
S15 0.966 0.250 0.382
S16 0.970 0.750 0.118

Summary:
Its crystal system is orthorhombic. The space group is Pnma.

=====

# 12
This record from the Materials Project database describes crystalline Cs2Te2O5 at its relaxed geometry. The functional is meta-GGA r2SCAN.

Unit cell a=10.837 b=12.048 c=12.029 alpha=90.00 beta=90.00 gamma=90.00
Positions (direct):
Cs1 0.219 0.004 0.005
Cs2 0.219 0.496 0.505
Cs3 0.248 0.248 0.753
Cs4 0.248 0.252 0.253
Cs5 0.252 0.748 0.753
Cs6 0.252 0.752 0.253
Cs7 0.281 0.504 0.005
Cs8 0.281 0.996 0.505
Cs9 0.719 0.004 0.495
Cs10 0.719 0.496 0.995
Cs11 0.748 0.248 0.747
Cs12 0.748 0.252 0.247
Cs13 0.752 0.748 0.747
Cs14 0.752 0.752 0.247
Cs15 0.781 0.504 0.495
Cs16 0.781 0.996 0.995
Te1 0.000 0.241 0.491
Te2 0.000 0.259 0.991
Te3 0.000 0.741 0.009
Te4 0.000 0.759 0.509
Te5 0.004 0.012 0.260
Te6 0.004 0.488 0.760
Te7 0.496 0.512 0.260
Te8 0.496 0.988 0.760
Te9 0.500 0.241 0.009
Te10 0.500 0.259 0.509
Te11 0.500 0.741 0.491
Te12 0.500 0.759 0.991
Te13 0.504 0.012 0.240
Te14 0.504 0.488 0.740
Te15 0.996 0.512 0.240
Te16 0.996 0.988 0.740
O1 0.011 0.648 0.614
O2 0.011 0.852 0.114
O3 0.014 0.616 0.353
O4 0.014 0.884 0.853
O5 0.028 0.613 0.113
O6 0.028 0.887 0.613
O7 0.168 0.231 0.506
O8 0.168 0.269 0.006
O9 0.172 0.002 0.270
O10 0.172 0.498 0.770
O11 0.328 0.502 0.270
O12 0.328 0.998 0.770
O13 0.332 0.731 0.506
O14 0.332 0.769 0.006
O15 0.472 0.113 0.113
O16 0.472 0.387 0.613
O17 0.486 0.116 0.353
O18 0.486 0.384 0.853
O19 0.489 0.148 0.614
O20 0.489 0.352 0.114
O21 0.511 0.648 0.886
O22 0.511 0.852 0.386
O23 0.514 0.616 0.147
O24 0.514 0.884 0.647
O25 0.528 0.613 0.387
O26 0.528 0.887 0.887
O27 0.668 0.231 0.994
O28 0.668 0.269 0.494
O29 0.672 0.002 0.230
O30 0.672 0.498 0.730
O31 0.828 0.502 0.230
O32 0.828 0.998 0.730
O33 0.832 0.731 0.994
O34 0.832 0.769 0.494
O35 0.972 0.113 0.387
O36 0.972 0.387 0.887
O37 0.986 0.116 0.147
O38 0.986 0.384 0.647
O39 0.989 0.148 0.886
O40 0.989 0.352 0.386

Summary:
Its crystal system is orthorhombic. The space group is Pbca.

=====

Sequential VASP energy output: -12.529, -20.847, -19.081, -36.619, -19.105, -26.704, -17.962, -11.260, -23.236, -28.692, -17.397, -16.033 eV/atom
Sequential DFT formation energy output: -0.020, -0.550, -0.842, -0.733, -4.217, 0.013, -1.366, -2.370, -0.878, -0.475, -2.406, -1.487 eV per atom